The following is a PBE with a Hubbard U calculation of an optimized crystal structure of MgCo6O8F4, from the Materials Project.

```
MgCo6O8F4
1.0
5.749 0.000 0.000
2.512 5.329 0.000
1.951 1.123 6.644
Mg Co O F
1 6 8 4
Cartesian
0.000 0.000 0.000
1.662 2.745 1.118
3.420 3.690 4.331
5.384 5.104 2.272
7.143 6.120 5.463
6.328 3.459 6.593
6.022 1.778 3.297
3.862 5.552 3.238
3.348 2.016 5.472
3.048 1.576 1.051
4.958 3.316 3.327
6.216 1.838 5.313
7.624 4.322 5.512
6.804 4.469 1.143
5.835 1.701 1.278
4.635 4.561 5.750
4.101 4.310 0.836
6.865 5.900 3.471
7.738 2.918 3.116
```

Values from the calculation:
* polymorph energy (0 for the lowest one): 81 meV per atom
* DFT total energy: -5.44 eV per atom
* energy relative to the elements: -1523.4 meV/atom